{"formula": "Sr2La6Mn7CuO24", "functional": "PBE with a Hubbard U", "state": "relaxed", "lattice_angstrom": [[5.5049, 0.0000, 0.0000], [-0.0003, 5.5949, 0.0000], [-0.2714, -0.0035, 15.6968]], "species": ["O", "O", "O", "O", "O", "O", "O", "O", "O", "O", "O", "O", "O", "O", "O", "O", "O", "O", "O", "O", "O", "O", "O", "O", "Mn", "Mn", "Mn", "Mn", "Mn", "Mn", "Mn", "La", "La", "La", "La", "La", "La", "Sr", "Sr", "Cu"], "frac_coords": [[0.2738, 0.2260, 0.9809], [0.0042, 0.0661, 0.6224], [0.2148, 0.7144, 0.0139], [0.7236, 0.2232, 0.2648], [0.2947, 0.7796, 0.7332], [0.0005, 0.9359, 0.8778], [0.7263, 0.7724, 0.0116], [0.5002, 0.5656, 0.8738], [0.7054, 0.2217, 0.7670], [0.2692, 0.7689, 0.2380], [0.9985, 0.9510, 0.3759], [0.2267, 0.7257, 0.5192], [0.9998, 0.0636, 0.1238], [0.2855, 0.2148, 0.4861], [0.7819, 0.7038, 0.7343], [0.7759, 0.2764, 0.9827], [0.2308, 0.2687, 0.2622], [0.7766, 0.7232, 0.2352], [0.4999, 0.5635, 0.3760], [0.4975, 0.4359, 0.6258], [0.5017, 0.4511, 0.1245], [0.7238, 0.7766, 0.5172], [0.2180, 0.2977, 0.7655], [0.7730, 0.2728, 0.4883], [0.4993, 0.5012, 0.7500], [0.5008, 0.4994, 0.4992], [0.5003, 0.4994, 0.2500], [0.4993, 0.5006, 0.0009], [0.0007, 0.0013, 0.4999], [0.9997, 0.9990, 0.2501], [0.9991, 0.9985, 0.0001], [0.0027, 0.4976, 0.6259], [0.9969, 0.5047, 0.8750], [0.5023, 0.0005, 0.6249], [0.4967, 0.0015, 0.8740], [0.9998, 0.4991, 0.1279], [0.4999, 0.9998, 0.3721], [0.5000, 0.9985, 0.1264], [0.0000, 0.4991, 0.3736], [0.0002, 0.0011, 0.7499]], "spacegroup": "P1 (1)", "m_tot_mub_per_fu": 24.000, "ef_ev_per_atom": -2.8201, "crystal_system": "triclinic", "final_energy_ev_per_fu": -304.6}

{"formula": "V4O5F7", "functional": "PBE with a Hubbard U", "state": "relaxed", "lattice_angstrom": [[-5.1900, 0.0000, 0.0000], [0.0000, 6.1132, -4.2474], [0.0000, -3.3190, -4.2809]], "species": ["O", "O", "O", "O", "O", "V", "V", "V", "V", "F", "F", "F", "F", "F", "F", "F"], "frac_coords": [[0.1942, 0.4618, 0.7063], [0.7823, 0.5438, 0.2961], [0.0776, 0.7500, 0.0000], [0.1942, 0.0382, 0.2937], [0.7823, 0.9562, 0.7039], [0.0286, 0.5088, 0.9652], [0.5308, 0.9940, 0.5245], [0.0286, 0.9912, 0.0348], [0.5308, 0.5060, 0.4755], [0.6945, 0.5475, 0.8026], [0.5897, 0.2500, 0.5000], [0.6945, 0.9525, 0.1974], [0.3898, 0.7500, 0.5000], [0.9128, 0.2500, 0.0000], [0.2846, 0.0535, 0.7952], [0.2846, 0.4465, 0.2048]], "spacegroup": "P2 (3)", "m_tot_mub_per_fu": 3.001, "ef_ev_per_atom": -2.7162, "de_polymorph_mev_per_atom": 46, "crystal_system": "monoclinic", "final_energy_ev_per_fu": -104.5}

{"formula": "BaLaMnSbO6", "functional": "PBE with a Hubbard U", "state": "relaxed", "lattice_angstrom": [[-4.0245, 1.1967, -4.0030], [6.0310, 1.5708, -5.5937], [-0.0485, -5.5710, -1.6168]], "species": ["Sb", "Sb", "Ba", "Ba", "O", "O", "O", "O", "O", "O", "O", "O", "O", "O", "O", "O", "Mn", "Mn", "La", "La"], "frac_coords": [[0.5000, 0.5000, 0.5000], [0.0000, 0.0000, 0.0000], [0.0000, 0.2500, 0.5000], [0.5000, 0.7500, 0.0000], [0.7040, 0.0225, 0.8170], [0.7960, 0.5225, 0.6830], [0.0000, 0.7591, 0.0000], [0.2040, 0.5225, 0.3170], [0.6830, 0.4775, 0.2040], [0.5000, 0.2591, 0.5000], [0.5000, 0.7409, 0.5000], [0.1830, 0.9775, 0.7040], [0.2960, 0.0225, 0.1830], [0.3170, 0.4775, 0.7960], [0.0000, 0.2409, 0.0000], [0.8170, 0.9775, 0.2960], [0.5000, 0.0000, 0.5000], [0.0000, 0.5000, 0.0000], [0.5000, 0.2500, 0.0000], [0.0000, 0.7500, 0.5000]], "m_tot_mub_per_fu": 0.000, "ef_ev_per_atom": -2.7649, "final_energy_ev_per_fu": -71.7}

{"formula": "Li9Mn2Co5O16", "functional": "PBE with a Hubbard U", "state": "relaxed", "lattice_angstrom": [[-1.2363, 2.3902, 1.2244], [0.3482, -3.3840, 3.8007], [18.2860, 6.5070, 3.2157]], "species": ["Co", "Co", "Co", "Co", "Co", "Li", "Li", "Li", "Li", "Li", "Li", "Li", "Li", "Li", "O", "O", "O", "O", "O", "O", "O", "O", "O", "O", "O", "O", "O", "O", "O", "O", "Mn", "Mn"], "frac_coords": [[0.5000, 0.0000, 0.0000], [0.2476, 0.7441, 0.7513], [0.1217, 0.1257, 0.1247], [0.7524, 0.2559, 0.2487], [0.8783, 0.8743, 0.8753], [0.8120, 0.5674, 0.0617], [0.4326, 0.6843, 0.1866], [0.1880, 0.4326, 0.9383], [0.9540, 0.1946, 0.6894], [0.0460, 0.8054, 0.3106], [0.7139, 0.9418, 0.4458], [0.5674, 0.3157, 0.8134], [0.2861, 0.0582, 0.5542], [0.0000, 0.5000, 0.5000], [0.0001, 0.3839, 0.5992], [0.7539, 0.1296, 0.3408], [0.9404, 0.0120, 0.7837], [0.6584, 0.7829, 0.5400], [0.4258, 0.5087, 0.2822], [0.7594, 0.3887, 0.1586], [0.9999, 0.6161, 0.4008], [0.1798, 0.2613, 0.0335], [0.5742, 0.4913, 0.7178], [0.8202, 0.7387, 0.9665], [0.5231, 0.1389, 0.9103], [0.3416, 0.2171, 0.4600], [0.4769, 0.8611, 0.0897], [0.0596, 0.9880, 0.2163], [0.2461, 0.8704, 0.6592], [0.2406, 0.6113, 0.8414], [0.3823, 0.3729, 0.3777], [0.6177, 0.6271, 0.6223]], "spacegroup": "P-1 (2)", "m_tot_mub_per_fu": 14.002, "ef_ev_per_atom": -1.8145, "de_polymorph_mev_per_atom": 50, "crystal_system": "triclinic", "final_energy_ev_per_fu": -185.8}

{"formula": "Na3MnO3", "functional": "PBE with a Hubbard U", "state": "relaxed", "lattice_angstrom": [[-7.1148, 8.3623, -4.0571], [-4.3059, -4.1802, -1.0650], [-4.3516, 1.5023, 10.7278]], "species": ["O", "O", "O", "O", "O", "O", "O", "O", "O", "O", "O", "O", "O", "O", "O", "O", "O", "O", "O", "O", "O", "O", "O", "O", "Na", "Na", "Na", "Na", "Na", "Na", "Na", "Na", "Na", "Na", "Na", "Na", "Na", "Na", "Na", "Na", "Na", "Na", "Na", "Na", "Na", "Na", "Na", "Na", "Mn", "Mn", "Mn", "Mn", "Mn", "Mn", "Mn", "Mn"], "frac_coords": [[0.6376, 0.9938, 0.7081], [0.8984, 0.4719, 0.4263], [0.3850, 0.5964, 0.4247], [0.1376, 0.0062, 0.7919], [0.8996, 0.9908, 0.9313], [0.1150, 0.5964, 0.9247], [0.3912, 0.1229, 0.9255], [0.3984, 0.5281, 0.0737], [0.3862, 0.6273, 0.8031], [0.1138, 0.6273, 0.3031], [0.6016, 0.4719, 0.9263], [0.8624, 0.9938, 0.2081], [0.8850, 0.4036, 0.0753], [0.1088, 0.1229, 0.4255], [0.6150, 0.4036, 0.5753], [0.6088, 0.8771, 0.0745], [0.3624, 0.0062, 0.2919], [0.6138, 0.3727, 0.1969], [0.1016, 0.5281, 0.5737], [0.8912, 0.8771, 0.5745], [0.1004, 0.0092, 0.0687], [0.6004, 0.9908, 0.4313], [0.3996, 0.0092, 0.5687], [0.8862, 0.3727, 0.6969], [0.8268, 0.9729, 0.7521], [0.7941, 0.2093, 0.5329], [0.0406, 0.6293, 0.1242], [0.1918, 0.6176, 0.7413], [0.3268, 0.0271, 0.7479], [0.9594, 0.3707, 0.8758], [0.5438, 0.8699, 0.8750], [0.8082, 0.3824, 0.2587], [0.4594, 0.6293, 0.6242], [0.5406, 0.3707, 0.3758], [0.9562, 0.8699, 0.3750], [0.6732, 0.9729, 0.2521], [0.7059, 0.2093, 0.0329], [0.2917, 0.2706, 0.4622], [0.2083, 0.2706, 0.9622], [0.0438, 0.1301, 0.6250], [0.4562, 0.1301, 0.1250], [0.7917, 0.7294, 0.0378], [0.1732, 0.0271, 0.2479], [0.7083, 0.7294, 0.5378], [0.6918, 0.3824, 0.7587], [0.2059, 0.7907, 0.4671], [0.2941, 0.7907, 0.9671], [0.3082, 0.6176, 0.2413], [0.4456, 0.4068, 0.8994], [0.9456, 0.5932, 0.6006], [0.0544, 0.4068, 0.3994], [0.5544, 0.5932, 0.1006], [0.4482, 0.8752, 0.4071], [0.0518, 0.8752, 0.9071], [0.5518, 0.1248, 0.5929], [0.9482, 0.1248, 0.0929]], "spacegroup": "P2_1/c (14)", "m_tot_mub_per_fu": 4.000, "ef_ev_per_atom": -1.6965, "de_polymorph_mev_per_atom": 70, "crystal_system": "monoclinic", "final_energy_ev_per_fu": -36.1}

{"formula": "MgTi3Fe2CoP6O24", "functional": "PBE with a Hubbard U", "state": "relaxed", "lattice_angstrom": [[8.6429, -0.1869, -0.0425], [4.4544, -7.5594, 0.0142], [4.3786, -2.5617, -7.1794]], "species": ["Mg", "Ti", "Ti", "Ti", "Fe", "Fe", "O", "O", "O", "O", "O", "O", "O", "O", "O", "O", "O", "O", "O", "O", "O", "O", "O", "O", "O", "O", "O", "O", "O", "O", "P", "P", "P", "P", "P", "P", "Co"], "frac_coords": [[0.2488, 0.2501, 0.8642], [0.9286, 0.3614, 0.3591], [0.0567, 0.6525, 0.6421], [0.4383, 0.8495, 0.8516], [0.5012, 0.5152, 0.4853], [0.9908, 0.9904, 0.0041], [0.2314, 0.7425, 0.9347], [0.7270, 0.2489, 0.5881], [0.2261, 0.9743, 0.0778], [0.2596, 0.5451, 0.7741], [0.2266, 0.1007, 0.7461], [0.2546, 0.7592, 0.4064], [0.4351, 0.9798, 0.1987], [0.5975, 0.6152, 0.9831], [0.2669, 0.4032, 0.5780], [0.7236, 0.5929, 0.4446], [0.9249, 0.6650, 0.5173], [0.7823, 0.2513, 0.0615], [0.8966, 0.8868, 0.6867], [0.9634, 0.4622, 0.8943], [0.0681, 0.1170, 0.3240], [0.0718, 0.5029, 0.1201], [0.4382, 0.3880, 0.9906], [0.0694, 0.3169, 0.5030], [0.4371, 0.1868, 0.3930], [0.7719, 0.0515, 0.9076], [0.5656, 0.8238, 0.6104], [0.7391, 0.4420, 0.2332], [0.7856, 0.8992, 0.2648], [0.5347, 0.0466, 0.8124], [0.7341, 0.0588, 0.7520], [0.2533, 0.2503, 0.5403], [0.2509, 0.9580, 0.2541], [0.2535, 0.5417, 0.9607], [0.7663, 0.4411, 0.0443], [0.7491, 0.7498, 0.4560], [0.5731, 0.1365, 0.1501]], "spacegroup": "P1 (1)", "m_tot_mub_per_fu": 9.162, "ef_ev_per_atom": -2.6002, "de_polymorph_mev_per_atom": 95, "crystal_system": "triclinic", "final_energy_ev_per_fu": -274.1}

{"formula": "Mn12O7F17", "functional": "PBE with a Hubbard U", "state": "relaxed", "lattice_angstrom": [[-1.9674, 3.3614, 2.7906], [-0.4685, -3.5043, 4.6133], [14.4274, 4.3596, 4.9650]], "species": ["Mn", "Mn", "Mn", "Mn", "Mn", "Mn", "Mn", "Mn", "Mn", "Mn", "Mn", "Mn", "O", "O", "O", "O", "O", "O", "O", "F", "F", "F", "F", "F", "F", "F", "F", "F", "F", "F", "F", "F", "F", "F", "F", "F"], "frac_coords": [[0.9806, 0.8501, 0.7533], [0.9923, 0.1493, 0.9128], [0.4794, 0.6661, 0.2585], [0.9860, 0.8474, 0.0762], [0.9742, 0.1630, 0.2372], [0.5150, 0.6892, 0.9304], [0.5006, 0.3508, 0.0828], [0.5052, 0.6437, 0.5872], [0.4947, 0.3450, 0.4182], [0.5170, 0.3312, 0.7512], [0.9615, 0.1655, 0.5799], [0.0054, 0.8513, 0.4170], [0.7084, 0.3750, 0.6435], [0.2758, 0.6155, 0.3694], [0.8054, 0.8961, 0.9689], [0.7729, 0.1173, 0.4696], [0.7811, 0.1143, 0.8058], [0.2844, 0.6201, 0.0332], [0.7625, 0.1110, 0.1271], [0.2499, 0.8790, 0.8512], [0.2259, 0.8882, 0.5313], [0.2500, 0.1276, 0.0155], [0.7365, 0.6033, 0.1498], [0.2750, 0.3660, 0.8574], [0.2373, 0.1076, 0.3532], [0.7461, 0.6151, 0.4762], [0.7280, 0.6145, 0.8144], [0.2126, 0.8762, 0.1839], [0.7439, 0.3937, 0.9791], [0.2568, 0.6088, 0.7009], [0.2853, 0.3779, 0.1933], [0.7789, 0.8847, 0.3061], [0.2698, 0.3862, 0.5255], [0.2137, 0.1122, 0.6849], [0.7607, 0.8750, 0.6427], [0.7270, 0.3822, 0.3126]], "spacegroup": "P1 (1)", "m_tot_mub_per_fu": 53.001, "ef_ev_per_atom": -2.5549, "de_polymorph_mev_per_atom": 22, "crystal_system": "triclinic", "final_energy_ev_per_fu": -236.4}

{"formula": "Ca3Ti3Cr2O12", "functional": "PBE with a Hubbard U", "state": "relaxed", "lattice_angstrom": [[5.9537, -0.5522, 9.1508], [-9.2811, -5.6157, 1.3471], [5.6760, -4.2800, -8.3038]], "species": ["Ti", "Ti", "Ti", "Ti", "Ti", "Ti", "Ti", "Ti", "Ti", "Ti", "Ti", "Ti", "O", "O", "O", "O", "O", "O", "O", "O", "O", "O", "O", "O", "O", "O", "O", "O", "O", "O", "O", "O", "O", "O", "O", "O", "O", "O", "O", "O", "O", "O", "O", "O", "O", "O", "O", "O", "O", "O", "O", "O", "O", "O", "O", "O", "O", "O", "O", "O", "Ca", "Ca", "Ca", "Ca", "Ca", "Ca", "Ca", "Ca", "Ca", "Ca", "Ca", "Ca", "Cr", "Cr", "Cr", "Cr", "Cr", "Cr", "Cr", "Cr"], "frac_coords": [[0.2500, 0.6250, 0.3750], [0.3750, 0.6250, 0.7500], [0.6250, 0.3750, 0.2500], [0.1250, 0.8750, 0.2500], [0.3750, 0.2500, 0.6250], [0.2500, 0.1250, 0.8750], [0.6250, 0.7500, 0.3750], [0.8750, 0.2500, 0.1250], [0.7500, 0.3750, 0.6250], [0.8750, 0.1250, 0.7500], [0.7500, 0.8750, 0.1250], [0.1250, 0.7500, 0.8750], [0.0803, 0.6990, 0.6813], [0.6813, 0.0803, 0.6990], [0.6813, 0.1009, 0.9823], [0.4197, 0.8187, 0.8010], [0.3187, 0.9197, 0.3010], [0.3813, 0.5803, 0.8991], [0.9197, 0.3010, 0.3187], [0.1813, 0.4823, 0.6009], [0.1187, 0.0177, 0.1990], [0.8187, 0.8010, 0.4197], [0.8010, 0.8813, 0.9823], [0.6990, 0.5177, 0.6187], [0.5177, 0.3991, 0.8187], [0.5803, 0.8991, 0.3813], [0.9197, 0.1187, 0.6009], [0.0177, 0.3187, 0.8991], [0.4823, 0.6009, 0.1813], [0.6187, 0.6990, 0.5177], [0.3813, 0.3010, 0.4823], [0.1009, 0.6187, 0.4197], [0.8813, 0.3991, 0.0803], [0.3991, 0.0803, 0.8813], [0.3010, 0.3187, 0.9197], [0.6990, 0.6813, 0.0803], [0.0177, 0.1990, 0.1187], [0.9823, 0.6813, 0.1009], [0.1813, 0.1990, 0.5803], [0.1990, 0.5803, 0.1813], [0.9823, 0.8010, 0.8813], [0.4823, 0.3813, 0.3010], [0.5803, 0.1813, 0.1990], [0.5177, 0.6187, 0.6990], [0.8010, 0.4197, 0.8187], [0.3010, 0.4823, 0.3813], [0.1990, 0.1187, 0.0177], [0.1187, 0.6009, 0.9197], [0.6009, 0.9197, 0.1187], [0.8991, 0.0177, 0.3187], [0.3187, 0.8991, 0.0177], [0.6187, 0.4197, 0.1009], [0.0803, 0.8813, 0.3991], [0.8991, 0.3813, 0.5803], [0.4197, 0.1009, 0.6187], [0.1009, 0.9823, 0.6813], [0.3991, 0.8187, 0.5177], [0.6009, 0.1813, 0.4823], [0.8187, 0.5177, 0.3991], [0.8813, 0.9823, 0.8010], [0.8750, 0.7500, 0.6250], [0.1250, 0.2500, 0.3750], [0.6250, 0.8750, 0.7500], [0.3750, 0.1250, 0.2500], [0.7500, 0.1250, 0.3750], [0.2500, 0.3750, 0.1250], [0.1250, 0.3750, 0.7500], [0.2500, 0.8750, 0.6250], [0.8750, 0.6250, 0.2500], [0.3750, 0.7500, 0.1250], [0.7500, 0.6250, 0.8750], [0.6250, 0.2500, 0.8750], [0.0000, 0.0000, 0.5000], [0.0000, 0.0000, 0.0000], [0.5000, 0.0000, 0.0000], [0.0000, 0.5000, 0.5000], [0.0000, 0.5000, 0.0000], [0.5000, 0.5000, 0.5000], [0.5000, 0.5000, 0.0000], [0.5000, 0.0000, 0.5000]], "spacegroup": "Ia-3d (230)", "m_tot_mub_per_fu": 6.018, "ef_ev_per_atom": -3.2781, "crystal_system": "cubic", "final_energy_ev_per_fu": -161.7}

{"formula": "BaSr6Fe3Bi3O16", "functional": "PBE with a Hubbard U", "state": "relaxed", "lattice_angstrom": [[3.8148, 0.0000, 0.0000], [0.0000, 3.8148, 0.0000], [1.9074, 1.9074, 31.3054]], "species": ["O", "O", "O", "O", "O", "O", "O", "O", "O", "O", "O", "O", "O", "O", "O", "O", "Fe", "Fe", "Fe", "Sr", "Sr", "Sr", "Sr", "Sr", "Sr", "Bi", "Bi", "Bi", "Ba"], "frac_coords": [[0.3775, 0.3775, 0.2450], [0.6955, 0.1955, 0.6090], [0.8046, 0.3046, 0.3909], [0.4985, 0.9985, 0.0030], [0.5346, 0.5346, 0.9308], [0.1560, 0.1560, 0.6881], [0.9262, 0.9262, 0.1477], [0.0749, 0.0749, 0.8503], [0.3046, 0.8046, 0.3909], [0.7680, 0.7680, 0.4640], [0.1955, 0.6955, 0.6090], [0.6226, 0.6226, 0.7548], [0.9985, 0.4985, 0.0030], [0.8444, 0.8444, 0.3112], [0.2320, 0.2320, 0.5360], [0.4591, 0.4591, 0.0817], [0.7994, 0.7994, 0.4013], [0.2005, 0.2005, 0.5990], [0.5033, 0.5033, 0.9934], [0.3323, 0.3323, 0.3355], [0.7277, 0.7277, 0.5446], [0.6677, 0.6677, 0.6645], [0.0309, 0.0309, 0.9382], [0.9707, 0.9707, 0.0586], [0.2721, 0.2721, 0.4557], [0.1228, 0.1228, 0.7543], [0.8774, 0.8774, 0.2452], [0.4260, 0.4260, 0.1480], [0.5769, 0.5769, 0.8462]], "spacegroup": "I4mm (107)", "m_tot_mub_per_fu": 14.626, "ef_ev_per_atom": -2.3316, "crystal_system": "tetragonal", "final_energy_ev_per_fu": -178.2}